[1]
This record from the Materials Project database describes a relaxed HoB2 crystal. The functional is PBE-GGA.

Energy relative to the elements   -0.59 eV per atom

a b c (Å): 3.287 3.287 3.830
angles (deg): 90.00 90.00 120.00
Sites, in units of the cell vectors:
Ho1 0.000 0.000 0.000
B1 0.333 0.667 0.500
B2 0.667 0.333 0.500

[2]
This record from the Materials Project database describes a relaxed CsAlSiO4 crystal. The functional is PBE-GGA.

Energy relative to the elements   -3.19 eV per atom

a b c (Å): 5.502 9.012 9.595
angles (deg): 90.00 90.00 90.00
Sites, in units of the cell vectors:
Cs1 0.750 0.500 0.199
Cs2 0.250 0.500 0.801
Cs3 0.250 0.000 0.699
Cs4 0.750 0.000 0.301
Al1 0.750 0.317 0.584
Al2 0.750 0.817 0.916
Al3 0.250 0.683 0.416
Al4 0.250 0.183 0.084
Si1 0.250 0.810 0.084
Si2 0.250 0.310 0.416
Si3 0.750 0.690 0.584
Si4 0.750 0.190 0.916
O1 0.750 0.253 0.756
O2 0.508 0.753 0.503
O3 0.992 0.753 0.503
O4 0.992 0.253 0.997
O5 0.750 0.753 0.744
O6 0.250 0.747 0.244
O7 0.492 0.247 0.497
O8 0.250 0.247 0.256
O9 0.008 0.247 0.497
O10 0.008 0.747 0.003
O11 0.250 0.490 0.412
O12 0.508 0.253 0.997
O13 0.492 0.747 0.003
O14 0.750 0.510 0.588
O15 0.250 0.990 0.088
O16 0.750 0.010 0.912

[3]
This record from the Materials Project database describes a relaxed SrZn2N2 crystal. The functional is PBE-GGA.

Energy relative to the elements   -0.38 eV per atom

a b c (Å): 6.109 10.406 6.324
angles (deg): 90.00 89.99 31.60
Sites, in units of the cell vectors:
Sr1 0.000 0.325 0.500
Sr2 0.000 0.675 0.500
Sr3 0.000 0.500 0.000
Zn1 0.715 0.980 0.862
Zn2 0.715 0.305 0.862
Zn3 0.285 0.020 0.138
Zn4 0.285 0.695 0.138
Zn5 0.263 0.869 0.649
Zn6 0.737 0.131 0.351
N1 0.390 0.973 0.803
N2 0.390 0.638 0.803
N3 0.610 0.027 0.197
N4 0.610 0.362 0.197
N5 0.523 0.239 0.678
N6 0.477 0.761 0.322

> The highest energy relative to the elements belongs to which entry?

SrZn2N2